{
  "formula": "Na2GePCO7",
  "functional": "GGA-PBE",
  "state": "relaxed",
  "cell": [[-4.3228, 4.9665, 0.4500], [-0.9896, -0.3904, -5.1976], [-6.7222, -5.9730, 1.3482]],
  "species": ["O", "O", "O", "O", "O", "O", "O", "O", "O", "O", "O", "O", "O", "O", "Na", "Na", "Na", "Na", "C", "C", "Ge", "Ge", "P", "P"],
  "frac_coords": [[0.2500, 0.0552, 0.1508], [0.2500, 0.8271, 0.4190], [0.7500, 0.9448, 0.8492], [0.2500, 0.4709, 0.1593], [0.0625, 0.8080, 0.6670], [0.4375, 0.8080, 0.6670], [0.5625, 0.1920, 0.3330], [0.9375, 0.1920, 0.3330], [0.7500, 0.1729, 0.5810], [0.7500, 0.5291, 0.8407], [0.7500, 0.7094, 0.0632], [0.7500, 0.5802, 0.4231], [0.2500, 0.4198, 0.5769], [0.2500, 0.2906, 0.9368], [0.4949, 0.2380, 0.7699], [0.0051, 0.2380, 0.7699], [0.9949, 0.7620, 0.2301], [0.5051, 0.7620, 0.2301], [0.7500, 0.7247, 0.9252], [0.2500, 0.2753, 0.0748], [0.7500, 0.7909, 0.6483], [0.2500, 0.2091, 0.3517], [0.2500, 0.7116, 0.5808], [0.7500, 0.2884, 0.4192]],
  "e_tot_ev_per_atom": -6.483,
  "e_form_mev_per_atom": -2172
}



{
  "formula": "HfCrS4",
  "functional": "GGA-PBE",
  "state": "relaxed",
  "cell": [[6.1310, -0.0891, 3.4728], [1.9598, 5.8095, 3.4726], [-0.0085, -0.0062, 6.9605]],
  "species": ["S", "S", "S", "S", "S", "S", "S", "S", "Cr", "Cr", "Hf", "Hf"],
  "frac_coords": [[0.7436, 0.7436, 0.7620], [0.7208, 0.2703, 0.7544], [0.7438, 0.7437, 0.2504], [0.2702, 0.7208, 0.7544], [0.2564, 0.2564, 0.7494], [0.2563, 0.2563, 0.2381], [0.7296, 0.2792, 0.2455], [0.2792, 0.7296, 0.2455], [0.4998, 0.4998, 0.0001], [0.5002, 0.5001, 0.4999], [0.5000, 0.0001, 0.5001], [0.0001, 0.5000, 0.5002]],
  "e_tot_ev_per_atom": -7.020,
  "e_form_mev_per_atom": -1329
}



{
  "formula": "SbP4O12",
  "functional": "GGA-PBE",
  "state": "relaxed",
  "cell": [[4.9971, -5.8183, 0.0000], [4.9971, 5.8183, 0.0000], [0.0000, 0.0000, 17.2932]],
  "species": ["P", "P", "P", "P", "P", "P", "P", "P", "P", "P", "P", "P", "P", "P", "P", "P", "O", "O", "O", "O", "O", "O", "O", "O", "O", "O", "O", "O", "O", "O", "O", "O", "O", "O", "O", "O", "O", "O", "O", "O", "O", "O", "O", "O", "O", "O", "O", "O", "O", "O", "O", "O", "O", "O", "O", "O", "O", "O", "O", "O", "O", "O", "O", "O", "Sb", "Sb", "Sb", "Sb"],
  "frac_coords": [[0.6308, 0.3692, 0.2500], [0.3333, 0.2707, 0.8047], [0.3692, 0.6308, 0.7500], [0.9670, 0.2530, 0.8419], [0.6481, 0.6481, 0.0000], [0.3519, 0.3519, 0.5000], [0.2530, 0.9670, 0.1581], [0.2707, 0.3333, 0.1953], [0.2179, 0.6896, 0.4859], [0.7470, 0.0330, 0.6581], [0.3104, 0.7821, 0.0141], [0.0330, 0.7470, 0.3419], [0.6667, 0.7293, 0.3047], [0.6896, 0.2179, 0.5141], [0.7293, 0.6667, 0.6953], [0.7821, 0.3104, 0.9859], [0.4847, 0.3893, 0.1861], [0.6347, 0.0903, 0.5866], [0.3053, 0.2352, 0.4304], [0.3956, 0.8065, 0.7917], [0.6044, 0.1935, 0.2917], [0.2352, 0.3053, 0.5696], [0.3182, 0.8732, 0.4752], [0.1268, 0.6818, 0.0248], [0.1998, 0.4805, 0.1515], [0.0502, 0.6423, 0.2706], [0.0634, 0.8727, 0.1511], [0.3893, 0.4847, 0.8139], [0.9097, 0.3653, 0.9134], [0.8002, 0.5195, 0.6515], [0.7164, 0.7765, 0.2241], [0.2836, 0.2235, 0.7241], [0.1137, 0.6474, 0.5591], [0.8727, 0.0634, 0.8489], [0.6423, 0.0502, 0.7294], [0.3584, 0.5536, 0.4762], [0.2235, 0.2836, 0.2759], [0.7606, 0.8322, 0.6358], [0.3526, 0.8863, 0.9409], [0.8322, 0.7606, 0.3642], [0.0903, 0.6347, 0.4134], [0.6416, 0.4464, 0.9762], [0.7765, 0.7164, 0.7759], [0.7648, 0.6947, 0.0696], [0.9498, 0.3577, 0.7706], [0.8732, 0.3182, 0.5248], [0.8065, 0.3956, 0.2083], [0.6818, 0.1268, 0.9752], [0.6107, 0.5153, 0.3139], [0.4464, 0.6416, 0.0238], [0.5153, 0.6107, 0.6861], [0.6474, 0.1137, 0.4409], [0.2394, 0.1678, 0.1358], [0.5195, 0.8002, 0.3485], [0.1273, 0.9366, 0.3489], [0.3577, 0.9498, 0.2294], [0.6947, 0.7648, 0.9304], [0.1678, 0.2394, 0.8642], [0.5536, 0.3584, 0.5238], [0.1935, 0.6044, 0.7083], [0.4805, 0.1998, 0.8485], [0.3653, 0.9097, 0.0866], [0.8863, 0.3526, 0.0591], [0.9366, 0.1273, 0.6511], [0.9675, 0.5975, 0.1372], [0.5975, 0.9675, 0.8628], [0.4025, 0.0325, 0.3628], [0.0325, 0.4025, 0.6372]],
  "polymorph_energy_ev_per_atom": 0.005,
  "e_tot_ev_per_atom": -6.896,
  "e_form_mev_per_atom": -2372
}



{
  "formula": "V3Bi2",
  "functional": "GGA-PBE",
  "state": "relaxed",
  "cell": [[10.1127, 0.0000, 0.0000], [0.0000, 10.1127, 0.0000], [0.0000, 0.0000, 4.0157]],
  "species": ["Bi", "Bi", "Bi", "Bi", "Bi", "Bi", "Bi", "Bi", "V", "V", "V", "V", "V", "V", "V", "V", "V", "V", "V", "V"],
  "frac_coords": [[0.2894, 0.9223, 0.0000], [0.3810, 0.2449, 0.5000], [0.7551, 0.3810, 0.5000], [0.0777, 0.2894, 0.0000], [0.2449, 0.6190, 0.5000], [0.6190, 0.7551, 0.5000], [0.7106, 0.0777, 0.0000], [0.9223, 0.7106, 0.0000], [0.4396, 0.6649, 0.0000], [0.9177, 0.1517, 0.5000], [0.6649, 0.5604, 0.0000], [0.5000, 0.0000, 0.5000], [0.5000, 0.5000, 0.5000], [0.0000, 0.5000, 0.5000], [0.3351, 0.4396, 0.0000], [0.0823, 0.8483, 0.5000], [0.0000, 0.0000, 0.0000], [0.8483, 0.9177, 0.5000], [0.1517, 0.0823, 0.5000], [0.5604, 0.3351, 0.0000]],
  "e_tot_ev_per_atom": -6.664,
  "e_form_mev_per_atom": 342
}



{
  "formula": "CsKNa2Li12Si4O16",
  "functional": "GGA-PBE",
  "state": "relaxed",
  "cell": [[1.9384, 3.3183, 7.5912], [-5.1033, 2.1637, -6.4552], [-4.3023, -6.8192, 2.7173]],
  "species": ["Li", "Li", "Li", "Li", "Li", "Li", "Li", "Li", "Li", "Li", "Li", "Li", "O", "O", "O", "O", "O", "O", "O", "O", "O", "O", "O", "O", "O", "O", "O", "O", "K", "Si", "Si", "Si", "Si", "Cs", "Na", "Na"],
  "frac_coords": [[0.4994, 0.6282, 0.6457], [0.3718, 0.0176, 0.8712], [0.9264, 0.7101, 0.6364], [0.7101, 0.0736, 0.7837], [0.0176, 0.1463, 0.6457], [0.6282, 0.9824, 0.1288], [0.2899, 0.9264, 0.2163], [0.9824, 0.8537, 0.3543], [0.0736, 0.2899, 0.3636], [0.5006, 0.3718, 0.3543], [0.8537, 0.4994, 0.8712], [0.1464, 0.5006, 0.1288], [0.3786, 0.4900, 0.2992], [0.5100, 0.8092, 0.8887], [0.1620, 0.4385, 0.6005], [0.6728, 0.9000, 0.5727], [0.8380, 0.5615, 0.3995], [0.3272, 0.1000, 0.4273], [0.1908, 0.0795, 0.7008], [0.4900, 0.1908, 0.1113], [0.9205, 0.6214, 0.1113], [0.8092, 0.9205, 0.2992], [0.4385, 0.8380, 0.2765], [0.5615, 0.1620, 0.7235], [0.6214, 0.5100, 0.7008], [0.0795, 0.3786, 0.8887], [0.1000, 0.6728, 0.7728], [0.9000, 0.3272, 0.2272], [0.5000, 0.5000, 0.0000], [0.5785, 0.7855, 0.3640], [0.2145, 0.5785, 0.7931], [0.4215, 0.2145, 0.6360], [0.7855, 0.4215, 0.2069], [0.0000, 0.0000, 0.0000], [0.7500, 0.2500, 0.5000], [0.2500, 0.7500, 0.5000]],
  "e_tot_ev_per_atom": -5.882,
  "e_form_mev_per_atom": -2619
}



{
  "formula": "NaRu3",
  "functional": "GGA-PBE",
  "state": "relaxed",
  "cell": [[-1.9366, 1.9366, 3.9301], [1.9366, -1.9366, 3.9301], [1.9366, 1.9366, -3.9301]],
  "species": ["Ru", "Ru", "Ru", "Na"],
  "frac_coords": [[0.7500, 0.2500, 0.5000], [0.5000, 0.5000, 0.0000], [0.2500, 0.7500, 0.5000], [0.0000, 0.0000, 0.0000]],
  "e_tot_ev_per_atom": -6.469,
  "e_form_mev_per_atom": 817
}



{
  "formula": "MgRe2O8",
  "functional": "GGA-PBE",
  "state": "relaxed",
  "cell": [[5.2181, -9.0381, 0.0000], [5.2181, 9.0381, 0.0000], [0.0000, 0.0000, 5.1274]],
  "species": ["Re", "Re", "Re", "Re", "Re", "Re", "O", "O", "O", "O", "O", "O", "O", "O", "O", "O", "O", "O", "O", "O", "O", "O", "O", "O", "O", "O", "O", "O", "O", "O", "Mg", "Mg", "Mg"],
  "frac_coords": [[0.3173, 0.3173, 0.4878], [0.3552, 0.0000, 0.0064], [0.0000, 0.6827, 0.4878], [0.0000, 0.3552, 0.0064], [0.6448, 0.6448, 0.0064], [0.6827, 0.0000, 0.4878], [0.4820, 0.3198, 0.5766], [0.0000, 0.8370, 0.6283], [0.0000, 0.3699, 0.6715], [0.3516, 0.8409, 0.1320], [0.6484, 0.4894, 0.1320], [0.4894, 0.6484, 0.1320], [0.8370, 0.0000, 0.6283], [0.8104, 0.8104, 0.0771], [0.1591, 0.5106, 0.1320], [0.5180, 0.8378, 0.5766], [0.1622, 0.6802, 0.5766], [0.8378, 0.5180, 0.5766], [0.3198, 0.4820, 0.5766], [0.6301, 0.6301, 0.6715], [0.1630, 0.1630, 0.6283], [0.5106, 0.1591, 0.1320], [0.1896, 0.0000, 0.0771], [0.3699, 0.0000, 0.6715], [0.8409, 0.3516, 0.1320], [0.6936, 0.0000, 0.1522], [0.0000, 0.6936, 0.1522], [0.0000, 0.1896, 0.0771], [0.3064, 0.3064, 0.1522], [0.6802, 0.1622, 0.5766], [0.6667, 0.3333, 0.3617], [0.3333, 0.6667, 0.3617], [0.0000, 0.0000, 0.8627]],
  "polymorph_energy_ev_per_atom": 0.056,
  "e_tot_ev_per_atom": -7.853,
  "e_form_mev_per_atom": -2346
}



{
  "formula": "SrBNO",
  "functional": "GGA-PBE",
  "state": "relaxed",
  "cell": [[7.9151, 0.0000, 0.0000], [0.0000, 6.6715, 0.0000], [0.0000, 6.3159, 11.9572]],
  "species": ["B", "B", "B", "B", "B", "B", "B", "B", "B", "B", "B", "B", "N", "N", "N", "N", "N", "N", "N", "N", "N", "N", "N", "N", "Sr", "Sr", "Sr", "Sr", "Sr", "Sr", "Sr", "Sr", "Sr", "Sr", "Sr", "Sr", "O", "O", "O", "O", "O", "O", "O", "O", "O", "O", "O", "O"],
  "frac_coords": [[0.5321, 0.5978, 0.6122], [0.3740, 0.2419, 0.7056], [0.9679, 0.5978, 0.1122], [0.7773, 0.3980, 0.3946], [0.8740, 0.7581, 0.7944], [0.6260, 0.7581, 0.2944], [0.1260, 0.2419, 0.2056], [0.7227, 0.3980, 0.8946], [0.4679, 0.4022, 0.3878], [0.0321, 0.4022, 0.8878], [0.2227, 0.6020, 0.6054], [0.2773, 0.6020, 0.1054], [0.8770, 0.2711, 0.8993], [0.1230, 0.7289, 0.1007], [0.2895, 0.3559, 0.1739], [0.7105, 0.6441, 0.8261], [0.5394, 0.3513, 0.6802], [0.3770, 0.7289, 0.6007], [0.7895, 0.6441, 0.3261], [0.0394, 0.6487, 0.8198], [0.2105, 0.3559, 0.6739], [0.4606, 0.6487, 0.3198], [0.6230, 0.2711, 0.3993], [0.9606, 0.3513, 0.1802], [0.6355, 0.9600, 0.8940], [0.8645, 0.9600, 0.3940], [0.6221, 0.4341, 0.1762], [0.1355, 0.0400, 0.6060], [0.1121, 0.9688, 0.8871], [0.3779, 0.5659, 0.8238], [0.3879, 0.9688, 0.3871], [0.6121, 0.0312, 0.6129], [0.8879, 0.0312, 0.1129], [0.8779, 0.4341, 0.6762], [0.1221, 0.5659, 0.3238], [0.3645, 0.0400, 0.1060], [0.4153, 0.7314, 0.0399], [0.3726, 0.9988, 0.7599], [0.9153, 0.2686, 0.4601], [0.1274, 0.9988, 0.2599], [0.0847, 0.7314, 0.5399], [0.5847, 0.2686, 0.9601], [0.3245, 0.2756, 0.4441], [0.6755, 0.7244, 0.5559], [0.8245, 0.7244, 0.0559], [0.1755, 0.2756, 0.9441], [0.6274, 0.0012, 0.2401], [0.8726, 0.0012, 0.7401]],
  "e_tot_ev_per_atom": -7.392,
  "e_form_mev_per_atom": -2150
}



{
  "formula": "Ca2Ag7",
  "functional": "GGA-PBE",
  "state": "relaxed",
  "cell": [[-2.4156, 3.7407, 3.3427], [1.9579, -4.7613, 2.1211], [12.6539, 6.1908, 2.2162]],
  "species": ["Ag", "Ag", "Ag", "Ag", "Ag", "Ag", "Ag", "Ag", "Ag", "Ag", "Ag", "Ag", "Ag", "Ag", "Ca", "Ca", "Ca", "Ca"],
  "frac_coords": [[0.9937, 0.6636, 0.0765], [0.3364, 0.0063, 0.9235], [0.0063, 0.3364, 0.5765], [0.1714, 0.1714, 0.7500], [0.0063, 0.3364, 0.9235], [0.1728, 0.6707, 0.7500], [0.3293, 0.8272, 0.2500], [0.3364, 0.0063, 0.5765], [0.8272, 0.3293, 0.2500], [0.6707, 0.1728, 0.7500], [0.6636, 0.9937, 0.0765], [0.8286, 0.8286, 0.2500], [0.6636, 0.9937, 0.4235], [0.9937, 0.6636, 0.4235], [0.6789, 0.6789, 0.8852], [0.3211, 0.3211, 0.1148], [0.6789, 0.6789, 0.6148], [0.3211, 0.3211, 0.3852]],
  "e_tot_ev_per_atom": -2.883,
  "e_form_mev_per_atom": -234
}



{
  "formula": "LiCuF4",
  "functional": "GGA-PBE",
  "state": "relaxed",
  "cell": [[-3.9478, 0.2344, -3.0460], [2.8436, -2.8834, -3.9073], [-0.3118, -5.8525, -0.0463]],
  "species": ["Cu", "Cu", "F", "F", "F", "F", "F", "F", "F", "F", "Li", "Li"],
  "frac_coords": [[0.0000, 0.0000, 0.0000], [0.5000, 0.0000, 0.5000], [0.6698, 0.3253, 0.3674], [0.8119, 0.8536, 0.3027], [0.3119, 0.1464, 0.1973], [0.1881, 0.1464, 0.6973], [0.8302, 0.3253, 0.8674], [0.1698, 0.6747, 0.1326], [0.3302, 0.6747, 0.6326], [0.6881, 0.8536, 0.8027], [0.0000, 0.5000, 0.5000], [0.5000, 0.5000, 0.0000]],
  "e_tot_ev_per_atom": -4.180,
  "e_form_mev_per_atom": -2210
}



{
  "formula": "GeH3CNO",
  "functional": "GGA-PBE",
  "state": "relaxed",
  "cell": [[0.0000, 8.3748, 0.0000], [0.0000, 0.0000, 7.6715], [8.5845, 0.0000, 0.0000]],
  "species": ["C", "C", "C", "C", "H", "H", "H", "H", "H", "H", "H", "H", "H", "H", "H", "H", "O", "O", "O", "O", "N", "N", "N", "N", "Ge", "Ge", "Ge", "Ge"],
  "frac_coords": [[0.7500, 0.4019, 0.4856], [0.7500, 0.0981, 0.9856], [0.2500, 0.9019, 0.0144], [0.2500, 0.5981, 0.5144], [0.0970, 0.1410, 0.3441], [0.2500, 0.3657, 0.1890], [0.7500, 0.8657, 0.3110], [0.5970, 0.8590, 0.6559], [0.5970, 0.6410, 0.1559], [0.2500, 0.1343, 0.6890], [0.4030, 0.1410, 0.3441], [0.9030, 0.8590, 0.6559], [0.9030, 0.6410, 0.1559], [0.0970, 0.3590, 0.8441], [0.7500, 0.6343, 0.8110], [0.4030, 0.3590, 0.8441], [0.2500, 0.7309, 0.4427], [0.7500, 0.2691, 0.5573], [0.2500, 0.7691, 0.9427], [0.7500, 0.2309, 0.0573], [0.2500, 0.0428, 0.0767], [0.7500, 0.5428, 0.4233], [0.2500, 0.4572, 0.5767], [0.7500, 0.9572, 0.9233], [0.7500, 0.6811, 0.2454], [0.7500, 0.8189, 0.7454], [0.2500, 0.1811, 0.2546], [0.2500, 0.3189, 0.7546]],
  "e_tot_ev_per_atom": -5.510,
  "e_form_mev_per_atom": -278
}



{
  "formula": "K3ErCl6",
  "functional": "GGA-PBE",
  "state": "relaxed",
  "cell": [[7.8213, 0.0000, 0.0000], [0.0000, 12.7971, 0.0000], [0.0000, 4.5391, 12.4278]],
  "species": ["Cl", "Cl", "Cl", "Cl", "Cl", "Cl", "Cl", "Cl", "Cl", "Cl", "Cl", "Cl", "Cl", "Cl", "Cl", "Cl", "Cl", "Cl", "Cl", "Cl", "Cl", "Cl", "Cl", "Cl", "K", "K", "K", "K", "K", "K", "K", "K", "K", "K", "K", "K", "Er", "Er", "Er", "Er"],
  "frac_coords": [[0.5321, 0.8574, 0.3999], [0.0321, 0.6426, 0.6001], [0.3322, 0.8504, 0.6520], [0.6286, 0.3096, 0.9969], [0.2100, 0.0740, 0.3939], [0.7713, 0.9986, 0.1447], [0.8322, 0.6496, 0.3480], [0.7900, 0.9260, 0.6061], [0.8714, 0.8096, 0.9969], [0.7032, 0.6064, 0.8385], [0.2968, 0.3936, 0.1615], [0.7287, 0.4986, 0.1447], [0.7968, 0.1064, 0.8385], [0.4679, 0.1426, 0.6001], [0.3714, 0.6904, 0.0031], [0.7100, 0.4260, 0.6061], [0.1678, 0.3504, 0.6520], [0.2713, 0.5014, 0.8553], [0.2900, 0.5740, 0.3939], [0.2032, 0.8936, 0.1615], [0.2287, 0.0014, 0.8553], [0.1286, 0.1904, 0.0031], [0.6678, 0.1496, 0.3480], [0.9679, 0.3574, 0.3999], [0.5541, 0.7672, 0.1891], [0.4636, 0.6296, 0.6087], [0.5364, 0.3704, 0.3913], [0.0541, 0.7328, 0.8109], [0.9247, 0.3904, 0.8237], [0.0753, 0.6096, 0.1763], [0.9636, 0.8704, 0.3913], [0.4459, 0.2328, 0.8109], [0.9459, 0.2672, 0.1891], [0.5753, 0.8904, 0.8237], [0.4247, 0.1096, 0.1763], [0.0364, 0.1296, 0.6087], [0.0000, 0.0000, 0.0000], [0.5000, 0.5000, 0.0000], [0.0000, 0.5000, 0.5000], [0.5000, 0.0000, 0.5000]],
  "e_tot_ev_per_atom": -4.029,
  "e_form_mev_per_atom": -2498
}